Here is a geometry-optimized Li8FeO5F structure from the Materials Project. Energies are from GGA+U.

* E_form: -2.144 eV per atom
* E_tot: -76.40 eV/cell
* crystal system: triclinic
* energy above the most stable polymorph in this dataset: 23.5 meV/atom
* corrected total energy (MP2020 scheme): -5.503 eV/atom

abc: 5.3951 5.4468 5.9270
angles: 90.95 115.29 116.91
Last column: nearest neighbours and their distance in Å.
Fractional positions:
Li1 0.0000 0.0000 0.0000  3 O 2.04-2.22
Li2 0.0356 0.1700 0.6323  3 O 1.88-1.96, 1 F 1.93
Li3 0.1801 0.4495 0.3534  3 O 1.90-2.01, 1 F 1.91
Li4 0.4056 0.8874 0.6424  3 O 1.92-1.95
Li5 0.5237 0.1285 0.3396  3 O 1.93-2.11, 1 F 1.93
Li6 0.5764 0.3297 0.9529  3 O 1.99-2.14
Li7 0.6821 0.5493 0.6200  4 O 1.92-2.09
Li8 0.8585 0.7500 0.3300  2 O 1.90-1.94, 1 F 1.96
Fe1 0.2113 0.6025 0.9523  5 O 1.98-2.10
O1 0.1096 0.8766 0.7458  4 Li 1.88-2.04, 1 Fe 2.06
O2 0.1483 0.7564 0.2247  4 Li 1.90-2.07, 1 Fe 2.03
O3 0.4066 0.5541 0.7421  5 Li 1.92-2.01, 1 Fe 2.02
O4 0.4388 0.4228 0.2168  5 Li 1.93-2.14, 1 Fe 2.10
O5 0.7888 0.2553 0.7461  5 Li 1.94-2.14, 1 Fe 1.98
F1 0.8160 0.0836 0.2608  4 Li 1.91-1.96



Here is a geometry-optimized MnCo3O8 structure from the Materials Project. Energies are from GGA+U.

* E_form: -1.206 eV per atom
* E_tot: -289.84 eV/cell
* crystal system: cubic
* energy above the most stable polymorph in this dataset: 34.9 meV/atom
* corrected total energy (MP2020 scheme): -7.045 eV/atom

abc: 8.0441 8.0441 8.0441
angles: 90.00 90.00 90.00
Last column: nearest neighbours and their distance in Å.
Fractional positions:
Mn1 0.1250 0.1250 0.1250  6 O 1.95
Mn2 0.3750 0.8750 0.6250  6 O 1.95
Mn3 0.6250 0.3750 0.8750  6 O 1.95
Mn4 0.8750 0.6250 0.3750  6 O 1.95
Co1 0.1224 0.8724 0.8750  6 O 1.88-1.89
Co2 0.1250 0.6224 0.6276  6 O 1.88-1.89
Co3 0.1276 0.3750 0.3776  6 O 1.88-1.89
Co4 0.3724 0.6250 0.8776  6 O 1.88-1.89
Co5 0.3750 0.3776 0.1276  6 O 1.88-1.89
Co6 0.3776 0.1276 0.3750  6 O 1.88-1.89
Co7 0.6224 0.6276 0.1250  6 O 1.88-1.89
Co8 0.6250 0.8776 0.3724  6 O 1.88-1.89
Co9 0.6276 0.1250 0.6224  6 O 1.88-1.89
Co10 0.8724 0.8750 0.1224  6 O 1.88-1.89
Co11 0.8750 0.1224 0.8724  6 O 1.88-1.89
Co12 0.8776 0.3724 0.6250  6 O 1.88-1.89
O1 0.1067 0.8839 0.1080  2 Co 1.88-1.89, 1 Mn 1.95
O2 0.1080 0.1067 0.8839  2 Co 1.88-1.89, 1 Mn 1.95
O3 0.1123 0.3877 0.6123  3 Co 1.89
O4 0.1161 0.6080 0.3933  2 Co 1.88-1.89, 1 Mn 1.95
O5 0.1339 0.8567 0.6420  2 Co 1.88-1.89, 1 Mn 1.95
O6 0.1377 0.6377 0.8623  3 Co 1.89
O7 0.1420 0.3661 0.1433  2 Co 1.88-1.89, 1 Mn 1.95
O8 0.1433 0.1420 0.3661  2 Co 1.88-1.89, 1 Mn 1.95
O9 0.3567 0.8580 0.8661  2 Co 1.88-1.89, 1 Mn 1.95
O10 0.3580 0.6339 0.6433  2 Co 1.88-1.89, 1 Mn 1.95
O11 0.3623 0.3623 0.3623  3 Co 1.89
O12 0.3661 0.1433 0.1420  2 Co 1.88-1.89, 1 Mn 1.95
O13 0.3839 0.3920 0.8933  2 Co 1.88-1.89, 1 Mn 1.95
O14 0.3877 0.6123 0.1123  3 Co 1.89
O15 0.3920 0.8933 0.3839  2 Co 1.88-1.89, 1 Mn 1.95
O16 0.3933 0.1161 0.6080  2 Co 1.88-1.89, 1 Mn 1.95
O17 0.6067 0.6161 0.8920  2 Co 1.88-1.89, 1 Mn 1.95
O18 0.6080 0.3933 0.1161  2 Co 1.88-1.89, 1 Mn 1.95
O19 0.6123 0.1123 0.3877  3 Co 1.89
O20 0.6161 0.8920 0.6067  2 Co 1.88-1.89, 1 Mn 1.95
O21 0.6339 0.6433 0.3580  2 Co 1.88-1.89, 1 Mn 1.95
O22 0.6377 0.8623 0.1377  3 Co 1.89
O23 0.6420 0.1339 0.8567  2 Co 1.88-1.89, 1 Mn 1.95
O24 0.6433 0.3580 0.6339  2 Co 1.88-1.89, 1 Mn 1.95
O25 0.8567 0.6420 0.1339  2 Co 1.88-1.89, 1 Mn 1.95
O26 0.8580 0.8661 0.3567  2 Co 1.88-1.89, 1 Mn 1.95
O27 0.8623 0.1377 0.6377  3 Co 1.89
O28 0.8661 0.3567 0.8580  2 Co 1.88-1.89, 1 Mn 1.95
O29 0.8839 0.1080 0.1067  2 Co 1.88-1.89, 1 Mn 1.95
O30 0.8877 0.8877 0.8877  3 Co 1.89
O31 0.8920 0.6067 0.6161  2 Co 1.88-1.89, 1 Mn 1.95
O32 0.8933 0.3839 0.3920  2 Co 1.88-1.89, 1 Mn 1.95



Here is a geometry-optimized Sr10Mg5Mo2W3O30 structure from the Materials Project. Energies are from GGA+U.

* E_form: -2.939 eV per atom
* E_tot: -340.52 eV/cell
* crystal system: triclinic
* corrected total energy (MP2020 scheme): -7.617 eV/atom

abc: 5.6502 5.6614 20.5065
angles: 82.31 82.10 89.89
Last column: nearest neighbours and their distance in Å.
Fractional positions:
Sr1 0.0493 0.0490 0.3999  6 O 2.60-2.75
Sr2 0.1508 0.1513 0.1993  8 O 2.61-2.92
Sr3 0.2494 0.2489 0.9999  6 O 2.60-2.75
Sr4 0.3505 0.3509 0.8008  6 O 2.60-2.75
Sr5 0.4492 0.4489 0.6000  6 O 2.60-2.75
Sr6 0.5508 0.5511 0.4000  6 O 2.60-2.75
Sr7 0.6495 0.6491 0.1992  6 O 2.60-2.75
Sr8 0.7506 0.7511 0.0001  6 O 2.60-2.75
Sr9 0.8492 0.8487 0.8007  8 O 2.61-2.92
Sr10 0.9507 0.9510 0.6001  6 O 2.60-2.75
Mg1 0.0000 0.5000 0.5000  6 O 2.08
Mg2 0.2000 0.7000 0.1000  6 O 2.07-2.09
Mg3 0.4000 0.9000 0.7000  6 O 2.08-2.09
Mg4 0.6000 0.1000 0.3000  6 O 2.08-2.09
Mg5 0.8000 0.3000 0.9000  6 O 2.07-2.09
Mo1 0.3000 0.7999 0.9001  6 O 1.95
Mo2 0.7000 0.2001 0.0999  6 O 1.95
W1 0.1000 0.6001 0.2999  6 O 1.95
W2 0.5000 0.0000 0.5000  6 O 1.95
W3 0.9000 0.3999 0.7001  6 O 1.95
O1 0.0272 0.5907 0.8993  1 Mo 1.95, 1 Mg 2.09
O2 0.0365 0.5652 0.3968  1 W 1.95, 1 Mg 2.08
O3 0.0921 0.0748 0.8951  1 Mo 1.95, 1 Mg 2.08
O4 0.1077 0.1241 0.7053  1 W 1.95, 1 Mg 2.08
O5 0.1635 0.6349 0.2029  1 W 1.95, 1 Mg 2.07
O6 0.1736 0.6093 0.7009  1 W 1.95, 1 Mg 2.08
O7 0.2265 0.7906 0.4992  1 W 1.95, 1 Mg 2.08
O8 0.2368 0.7651 0.9968  1 Mo 1.95, 1 Mg 2.08
O9 0.2921 0.2757 0.4949  1 W 1.95, 1 Mg 2.08
O10 0.3079 0.3244 0.3050  1 W 1.95, 1 Mg 2.08
O11 0.3631 0.8348 0.8035  1 Mo 1.95, 1 Mg 2.09
O12 0.3736 0.8094 0.3007  1 W 1.95, 1 Mg 2.08
O13 0.4273 0.9908 0.0991  1 Mo 1.95, 1 Mg 2.09
O14 0.4365 0.9652 0.5969  1 W 1.95, 1 Mg 2.08
O15 0.4923 0.4750 0.0949  1 Mo 1.95, 1 Mg 2.08
O16 0.5077 0.5250 0.9051  1 Mo 1.95, 1 Mg 2.08
O17 0.5635 0.0348 0.4031  1 W 1.95, 1 Mg 2.08
O18 0.5727 0.0092 0.9009  1 Mo 1.95, 1 Mg 2.09
O19 0.6264 0.1906 0.6993  1 W 1.95, 1 Mg 2.08
O20 0.6369 0.1652 0.1965  1 Mo 1.95, 1 Mg 2.09
O21 0.6921 0.6756 0.6950  1 W 1.95, 1 Mg 2.08
O22 0.7079 0.7243 0.5051  1 W 1.95, 1 Mg 2.08
O23 0.7632 0.2349 0.0032  1 Mo 1.95, 1 Mg 2.08
O24 0.7735 0.2094 0.5008  1 W 1.95, 1 Mg 2.08
O25 0.8264 0.3907 0.2991  1 W 1.95, 1 Mg 2.08
O26 0.8365 0.3651 0.7971  1 W 1.95, 1 Mg 2.07
O27 0.8923 0.8759 0.2947  1 W 1.95, 1 Mg 2.08
O28 0.9079 0.9252 0.1049  1 Mo 1.95, 1 Mg 2.08
O29 0.9635 0.4348 0.6032  1 W 1.95, 1 Mg 2.08
O30 0.9728 0.4093 0.1007  1 Mo 1.95, 1 Mg 2.09



Here is a geometry-optimized W3O8 structure from the Materials Project. Energies are from GGA+U.

* E_form: -1.837 eV per atom
* E_tot: -79.85 eV/cell
* crystal system: monoclinic
* energy above the most stable polymorph in this dataset: 303.0 meV/atom
* corrected total energy (MP2020 scheme): -8.969 eV/atom

abc: 6.5202 6.5202 5.1319
angles: 108.80 108.80 55.85
Last column: nearest neighbours and their distance in Å.
Fractional positions:
W1 0.0000 0.0000 0.0000  6 O 1.96
W2 0.2874 0.7126 0.5000  4 O 1.95-1.97
W3 0.7126 0.2874 0.5000  4 O 1.95-1.97
O1 0.0957 0.0957 0.4040  1 W 1.96
O2 0.1337 0.6788 0.1064  2 W 1.95-1.96
O3 0.3212 0.8663 0.8936  2 W 1.95-1.96
O4 0.3825 0.3825 0.5559  2 W 1.97
O5 0.6175 0.6175 0.4441  2 W 1.97
O6 0.6788 0.1337 0.1064  2 W 1.95-1.96
O7 0.8663 0.3212 0.8936  2 W 1.95-1.96
O8 0.9043 0.9043 0.5960  1 W 1.96



Here is a geometry-optimized MgTl4Mo2O8 structure from the Materials Project. Energies are from GGA+U.

* E_form: -1.601 eV per atom
* E_tot: -84.44 eV/cell
* crystal system: monoclinic
* energy above the most stable polymorph in this dataset: 29.6 meV/atom
* corrected total energy (MP2020 scheme): -6.423 eV/atom

abc: 6.6609 6.6609 8.0589
angles: 90.00 90.00 61.90
Last column: nearest neighbours and their distance in Å.
Fractional positions:
Mg1 0.0000 0.0000 0.0000  4 O 2.00-2.02
Tl1 0.0231 0.6189 0.3232  2 O 2.49-2.64
Tl2 0.3811 0.9769 0.6768  2 O 2.49-2.64
Tl3 0.5176 0.4824 0.0000  6 O 2.78-2.99
Tl4 0.7024 0.2976 0.5000  6 O 2.89-2.97
Mo1 0.3446 0.0038 0.2152  4 O 1.81-1.95
Mo2 0.9962 0.6554 0.7848  4 O 1.81-1.95
O1 0.0219 0.1014 0.2299  1 Mo 1.93, 1 Mg 2.00
O2 0.0460 0.6794 0.0208  1 Mo 1.95, 1 Mg 2.02
O3 0.2777 0.4861 0.6988  1 Mo 1.81
O4 0.3206 0.9540 0.9792  1 Mo 1.95, 1 Mg 2.02
O5 0.4026 0.2389 0.2653  1 Mo 1.83
O6 0.5139 0.7223 0.3012  1 Mo 1.81
O7 0.7611 0.5974 0.7347  1 Mo 1.83
O8 0.8986 0.9781 0.7701  1 Mo 1.93, 1 Mg 2.00



The lowest E_tot belongs to which entry?
Sr10Mg5Mo2W3O30



What did the first record say?
Here is a geometry-optimized Li8FeO5F structure from the Materials Project. Energies are from GGA+U.

* E_form: -2.144 eV per atom
* E_tot: -76.40 eV/cell
* crystal system: triclinic
* energy above the most stable polymorph in this dataset: 23.5 meV/atom
* corrected total energy (MP2020 scheme): -5.503 eV/atom

abc: 5.3951 5.4468 5.9270
angles: 90.95 115.29 116.91
Last column: nearest neighbours and their distance in Å.
Fractional positions:
Li1 0.0000 0.0000 0.0000  3 O 2.04-2.22
Li2 0.0356 0.1700 0.6323  3 O 1.88-1.96, 1 F 1.93
Li3 0.1801 0.4495 0.3534  3 O 1.90-2.01, 1 F 1.91
Li4 0.4056 0.8874 0.6424  3 O 1.92-1.95
Li5 0.5237 0.1285 0.3396  3 O 1.93-2.11, 1 F 1.93
Li6 0.5764 0.3297 0.9529  3 O 1.99-2.14
Li7 0.6821 0.5493 0.6200  4 O 1.92-2.09
Li8 0.8585 0.7500 0.3300  2 O 1.90-1.94, 1 F 1.96
Fe1 0.2113 0.6025 0.9523  5 O 1.98-2.10
O1 0.1096 0.8766 0.7458  4 Li 1.88-2.04, 1 Fe 2.06
O2 0.1483 0.7564 0.2247  4 Li 1.90-2.07, 1 Fe 2.03
O3 0.4066 0.5541 0.7421  5 Li 1.92-2.01, 1 Fe 2.02
O4 0.4388 0.4228 0.2168  5 Li 1.93-2.14, 1 Fe 2.10
O5 0.7888 0.2553 0.7461  5 Li 1.94-2.14, 1 Fe 1.98
F1 0.8160 0.0836 0.2608  4 Li 1.91-1.96



Which of these has the lowest E_form?
Sr10Mg5Mo2W3O30



Which of these has the highest corrected total energy (MP2020 scheme)?
Li8FeO5F